No. 1
# PBE Ho3Ni2Ru4, relaxed
data_Ho3Ni2Ru4
_chemical_formula_sum 'Ho6 Ni4 Ru8'
_cell_length_a 5.238
_cell_length_b 5.251
_cell_length_c 12.838
_cell_angle_alpha 89.75
_cell_angle_beta 88.88
_cell_angle_gamma 60.38
_symmetry_space_group_name_H-M 'P 1'
_symmetry_Int_Tables_number 1
loop_
_symmetry_equiv_pos_as_xyz
'x,y,z'
loop_
_atom_site_label
_atom_site_fract_x
_atom_site_fract_y
_atom_site_fract_z
Ho1 0.006 0.497 0.125
Ho2 0.331 0.839 0.206
Ho3 0.336 0.830 0.459
Ho4 0.664 0.170 0.541
Ho5 0.669 0.161 0.794
Ho6 0.994 0.503 0.875
Ni1 0.166 0.168 0.666
Ni2 0.500 0.000 0.000
Ni3 0.500 0.500 0.000
Ni4 0.834 0.832 0.334
Ru1 0.000 0.000 0.000
Ru2 0.000 0.500 0.500
Ru3 0.170 0.666 0.668
Ru4 0.327 0.837 0.837
Ru5 0.336 0.334 0.332
Ru6 0.664 0.666 0.668
Ru7 0.673 0.163 0.163
Ru8 0.830 0.334 0.332
# DFT total energy ... -7.319 eV per atom
# SG ... P-1 (2)

---

No. 2
# PBE Ho5Ni2Sb, relaxed
data_Ho5Ni2Sb
_chemical_formula_sum 'Ho10 Ni4 Sb2'
_cell_length_a 8.561
_cell_length_b 8.561
_cell_length_c 8.561
_cell_angle_alpha 127.43
_cell_angle_beta 127.43
_cell_angle_gamma 77.56
_symmetry_space_group_name_H-M 'P 1'
_symmetry_Int_Tables_number 1
loop_
_symmetry_equiv_pos_as_xyz
'x,y,z'
loop_
_atom_site_label
_atom_site_fract_x
_atom_site_fract_y
_atom_site_fract_z
Ho1 0.000 0.000 0.000
Ho2 0.020 0.520 0.814
Ho3 0.206 0.020 0.500
Ho4 0.294 0.794 0.814
Ho5 0.480 0.294 0.500
Ho6 0.500 0.500 0.000
Ho7 0.520 0.706 0.500
Ho8 0.706 0.206 0.186
Ho9 0.794 0.980 0.500
Ho10 0.980 0.480 0.186
Ni1 0.131 0.369 0.500
Ni2 0.369 0.869 0.238
Ni3 0.631 0.131 0.762
Ni4 0.869 0.631 0.500
Sb1 0.250 0.250 0.000
Sb2 0.750 0.750 0.000
# DFT total energy ... -5.366 eV per atom
# SG ... I4/mcm (140)

---

No. 3
# PBE Ho2NiSb4, relaxed
data_Ho2NiSb4
_chemical_formula_sum 'Ho2 Ni1 Sb4'
_cell_length_a 4.311
_cell_length_b 4.311
_cell_length_c 9.220
_cell_angle_alpha 90.00
_cell_angle_beta 90.00
_cell_angle_gamma 90.00
_symmetry_space_group_name_H-M 'P 1'
_symmetry_Int_Tables_number 1
loop_
_symmetry_equiv_pos_as_xyz
'x,y,z'
loop_
_atom_site_label
_atom_site_fract_x
_atom_site_fract_y
_atom_site_fract_z
Ho1 0.000 0.500 0.236
Ho2 0.500 0.000 0.764
Ni1 0.000 0.000 0.000
Sb1 0.000 0.000 0.500
Sb2 0.000 0.500 0.869
Sb3 0.500 0.000 0.131
Sb4 0.500 0.500 0.500
# DFT total energy ... -5.211 eV per atom
# SG ... P-4m2 (115)

---

No. 4
# PBE HoNiSb, relaxed
data_HoNiSb
_chemical_formula_sum 'Ho1 Ni1 Sb1'
_cell_length_a 4.476
_cell_length_b 4.476
_cell_length_c 4.476
_cell_angle_alpha 60.00
_cell_angle_beta 60.00
_cell_angle_gamma 60.00
_symmetry_space_group_name_H-M 'P 1'
_symmetry_Int_Tables_number 1
loop_
_symmetry_equiv_pos_as_xyz
'x,y,z'
loop_
_atom_site_label
_atom_site_fract_x
_atom_site_fract_y
_atom_site_fract_z
Ho1 0.000 0.000 0.000
Ni1 0.250 0.250 0.250
Sb1 0.500 0.500 0.500
# DFT total energy ... -5.734 eV per atom
# Piezoelectric modulus e_max ... 0.23 C/m²
# SG ... F-43m (216)

---

No. 5
# PBE HoNi2Sb2, relaxed
data_HoNi2Sb2
_chemical_formula_sum 'Ho2 Ni4 Sb4'
_cell_length_a 4.410
_cell_length_b 4.410
_cell_length_c 10.054
_cell_angle_alpha 90.00
_cell_angle_beta 90.00
_cell_angle_gamma 90.00
_symmetry_space_group_name_H-M 'P 1'
_symmetry_Int_Tables_number 1
loop_
_symmetry_equiv_pos_as_xyz
'x,y,z'
loop_
_atom_site_label
_atom_site_fract_x
_atom_site_fract_y
_atom_site_fract_z
Ho1 0.250 0.250 0.238
Ho2 0.750 0.750 0.762
Ni1 0.250 0.250 0.627
Ni2 0.250 0.750 0.000
Ni3 0.750 0.250 0.000
Ni4 0.750 0.750 0.373
Sb1 0.250 0.250 0.872
Sb2 0.250 0.750 0.500
Sb3 0.750 0.250 0.500
Sb4 0.750 0.750 0.128
# DFT total energy ... -5.425 eV per atom
# SG ... P4/nmm (129)

---

No. 6
# PBE HoSi2Ni10, relaxed
data_HoSi2Ni10
_chemical_formula_sum 'Ho2 Si4 Ni20'
_cell_length_a 8.153
_cell_length_b 8.153
_cell_length_c 4.669
_cell_angle_alpha 90.00
_cell_angle_beta 90.00
_cell_angle_gamma 90.00
_symmetry_space_group_name_H-M 'P 1'
_symmetry_Int_Tables_number 1
loop_
_symmetry_equiv_pos_as_xyz
'x,y,z'
loop_
_atom_site_label
_atom_site_fract_x
_atom_site_fract_y
_atom_site_fract_z
Ho1 0.250 0.250 0.222
Ho2 0.750 0.750 0.778
Si1 0.000 0.000 0.500
Si2 0.000 0.500 0.500
Si3 0.500 0.000 0.500
Si4 0.500 0.500 0.500
Ni1 0.000 0.000 0.000
Ni2 0.000 0.500 0.000
Ni3 0.027 0.250 0.729
Ni4 0.103 0.750 0.761
Ni5 0.250 0.027 0.729
Ni6 0.250 0.473 0.729
Ni7 0.250 0.603 0.239
Ni8 0.250 0.897 0.239
Ni9 0.397 0.750 0.761
Ni10 0.473 0.250 0.729
Ni11 0.500 0.000 0.000
Ni12 0.500 0.500 0.000
Ni13 0.527 0.750 0.271
Ni14 0.603 0.250 0.239
Ni15 0.750 0.103 0.761
Ni16 0.750 0.397 0.761
Ni17 0.750 0.527 0.271
Ni18 0.750 0.973 0.271
Ni19 0.897 0.250 0.239
Ni20 0.973 0.750 0.271
# DFT total energy ... -6.078 eV per atom
# SG ... P4/nmm (129)

---

No. 7
# PBE HoSi2Ni2, relaxed
data_HoSi2Ni2
_chemical_formula_sum 'Ho1 Si2 Ni2'
_cell_length_a 5.510
_cell_length_b 5.510
_cell_length_c 5.510
_cell_angle_alpha 137.94
_cell_angle_beta 137.94
_cell_angle_gamma 60.99
_symmetry_space_group_name_H-M 'P 1'
_symmetry_Int_Tables_number 1
loop_
_symmetry_equiv_pos_as_xyz
'x,y,z'
loop_
_atom_site_label
_atom_site_fract_x
_atom_site_fract_y
_atom_site_fract_z
Ho1 0.000 0.000 0.000
Si1 0.374 0.374 0.000
Si2 0.626 0.626 0.000
Ni1 0.250 0.750 0.500
Ni2 0.750 0.250 0.500
# DFT total energy ... -6.256 eV per atom
# SG ... I4/mmm (139)

---

No. 8
# PBE HoSiNi, relaxed
data_HoSiNi
_chemical_formula_sum 'Ho4 Si4 Ni4'
_cell_length_a 6.862
_cell_length_b 4.163
_cell_length_c 7.122
_cell_angle_alpha 90.00
_cell_angle_beta 90.00
_cell_angle_gamma 90.00
_symmetry_space_group_name_H-M 'P 1'
_symmetry_Int_Tables_number 1
loop_
_symmetry_equiv_pos_as_xyz
'x,y,z'
loop_
_atom_site_label
_atom_site_fract_x
_atom_site_fract_y
_atom_site_fract_z
Ho1 0.011 0.250 0.198
Ho2 0.489 0.750 0.698
Ho3 0.511 0.250 0.302
Ho4 0.989 0.750 0.802
Si1 0.195 0.250 0.594
Si2 0.305 0.750 0.094
Si3 0.695 0.250 0.906
Si4 0.805 0.750 0.406
Ni1 0.174 0.750 0.423
Ni2 0.326 0.250 0.923
Ni3 0.674 0.750 0.077
Ni4 0.826 0.250 0.577
# DFT total energy ... -6.085 eV per atom
# SG ... Pnma (62)

---

No. 9
# PBE HoNiSn, relaxed
data_HoNiSn
_chemical_formula_sum 'Ho4 Ni4 Sn4'
_cell_length_a 7.027
_cell_length_b 4.506
_cell_length_c 7.584
_cell_angle_alpha 90.00
_cell_angle_beta 90.00
_cell_angle_gamma 90.00
_symmetry_space_group_name_H-M 'P 1'
_symmetry_Int_Tables_number 1
loop_
_symmetry_equiv_pos_as_xyz
'x,y,z'
loop_
_atom_site_label
_atom_site_fract_x
_atom_site_fract_y
_atom_site_fract_z
Ho1 0.009 0.250 0.205
Ho2 0.491 0.750 0.705
Ho3 0.509 0.250 0.295
Ho4 0.991 0.750 0.795
Ni1 0.205 0.750 0.423
Ni2 0.295 0.250 0.923
Ni3 0.705 0.750 0.077
Ni4 0.795 0.250 0.577
Sn1 0.193 0.250 0.590
Sn2 0.307 0.750 0.090
Sn3 0.693 0.250 0.910
Sn4 0.807 0.750 0.410
# DFT total energy ... -5.457 eV per atom
# SG ... Pnma (62)

---

Number 1: formation energy -0.3847 eV per atom. Number 2: formation energy -0.5649 eV per atom. Number 3: formation energy -0.8261 eV per atom. Number 4: formation energy -0.9679 eV per atom. Number 5: formation energy -0.6213 eV per atom. Number 6: formation energy -0.4442 eV per atom. Number 7: formation energy -0.8577 eV per atom. Number 8: formation energy -0.8227 eV per atom. Number 9: formation energy -0.6661 eV per atom.